[1]
Density functional theory data (PBE) for a geometry-optimized ScHO2 structure.

Computed properties:
As for the space group: P6_3/mmc.

Lattice parameters (Å, degrees): 3.234 3.234 9.062 90.00 90.00 120.00
Positions (direct):
Sc: 0.000 0.000 0.000
Sc: 0.000 0.000 0.500
H: 0.333 0.667 0.250
H: 0.667 0.333 0.750
O: 0.333 0.667 0.116
O: 0.333 0.667 0.384
O: 0.667 0.333 0.616
O: 0.667 0.333 0.884

[2]
Density functional theory data (PBE) for a geometry-optimized Na8Bi5O14 structure.

Computed properties:
As for the space group: P-1.

Lattice parameters (Å, degrees): 11.557 9.162 9.210 112.37 105.28 100.77
Positions (direct):
Na: 0.679 0.017 0.450
Na: 0.000 0.000 0.000
Na: 0.674 0.189 0.194
Na: 0.377 0.171 0.307
Na: 0.015 0.106 0.381
Na: 0.410 0.280 0.698
Na: 0.467 0.376 0.112
Na: 0.147 0.430 0.570
Na: 0.500 0.500 0.500
Na: 0.853 0.570 0.430
Na: 0.533 0.624 0.888
Na: 0.590 0.720 0.302
Na: 0.985 0.894 0.619
Na: 0.623 0.829 0.693
Na: 0.326 0.811 0.806
Na: 0.321 0.983 0.550
Bi: 0.711 0.140 0.849
Bi: 0.081 0.202 0.773
Bi: 0.768 0.342 0.603
Bi: 0.111 0.319 0.190
Bi: 0.810 0.468 0.037
Bi: 0.190 0.532 0.963
Bi: 0.889 0.681 0.810
Bi: 0.232 0.658 0.397
Bi: 0.919 0.798 0.227
Bi: 0.289 0.860 0.151
O: 0.526 0.975 0.798
O: 0.847 0.046 0.747
O: 0.578 0.168 0.616
O: 0.914 0.231 0.537
O: 0.179 0.098 0.654
O: 0.884 0.153 0.107
O: 0.622 0.279 0.964
O: 0.941 0.321 0.929
O: 0.627 0.352 0.368
O: 0.204 0.211 0.055
O: 0.247 0.300 0.418
O: 0.995 0.557 0.710
O: 0.692 0.508 0.780
O: 0.288 0.406 0.841
O: 0.712 0.594 0.159
O: 0.308 0.492 0.220
O: 0.005 0.443 0.290
O: 0.753 0.700 0.582
O: 0.796 0.789 0.945
O: 0.373 0.648 0.632
O: 0.059 0.679 0.071
O: 0.378 0.721 0.036
O: 0.116 0.847 0.893
O: 0.821 0.902 0.346
O: 0.086 0.769 0.463
O: 0.422 0.832 0.384
O: 0.153 0.954 0.253
O: 0.474 0.025 0.202

[3]
Density functional theory data (PBE) for a geometry-optimized Rb2CuH12S2O14 structure.

Computed properties:
As for the space group: P2_1/c.

Lattice parameters (Å, degrees): 12.507 6.276 9.316 75.33 90.00 90.00
Positions (direct):
Rb: 0.350 0.653 0.119
Rb: 0.850 0.347 0.381
Rb: 0.650 0.347 0.881
Rb: 0.150 0.653 0.619
Cu: 0.500 0.000 0.500
Cu: 0.000 0.000 0.000
H: 0.640 0.692 0.533
H: 0.140 0.308 0.967
H: 0.360 0.308 0.467
H: 0.860 0.692 0.033
H: 0.562 0.676 0.400
H: 0.062 0.324 0.100
H: 0.396 0.078 0.205
H: 0.896 0.922 0.295
H: 0.604 0.922 0.795
H: 0.104 0.078 0.705
H: 0.377 0.918 0.731
H: 0.877 0.082 0.769
H: 0.623 0.082 0.269
H: 0.123 0.918 0.231
H: 0.409 0.684 0.698
H: 0.693 0.992 0.672
H: 0.909 0.316 0.802
H: 0.591 0.316 0.302
H: 0.091 0.684 0.198
H: 0.807 0.992 0.172
H: 0.307 0.008 0.328
H: 0.938 0.676 0.900
H: 0.438 0.324 0.600
H: 0.193 0.008 0.828
S: 0.859 0.727 0.612
S: 0.359 0.273 0.888
S: 0.141 0.273 0.388
S: 0.641 0.727 0.112
O: 0.611 0.159 0.349
O: 0.889 0.159 0.849
O: 0.119 0.973 0.802
O: 0.619 0.027 0.698
O: 0.881 0.027 0.198
O: 0.381 0.973 0.302
O: 0.111 0.841 0.151
O: 0.330 0.054 0.862
O: 0.830 0.946 0.638
O: 0.670 0.946 0.138
O: 0.936 0.714 0.998
O: 0.436 0.286 0.502
O: 0.064 0.286 0.002
O: 0.564 0.714 0.498
O: 0.170 0.054 0.362
O: 0.425 0.401 0.760
O: 0.925 0.599 0.740
O: 0.075 0.401 0.260
O: 0.424 0.242 0.026
O: 0.924 0.758 0.474
O: 0.576 0.758 0.974
O: 0.076 0.242 0.526
O: 0.575 0.599 0.240
O: 0.760 0.599 0.601
O: 0.740 0.599 0.101
O: 0.240 0.401 0.399
O: 0.389 0.841 0.651
O: 0.260 0.401 0.899

[4]
Density functional theory data (PBE) for a geometry-optimized LiO3 structure.

Computed properties:
As for the space group: Imm2.

Lattice parameters (Å, degrees): 4.011 4.011 4.011 133.56 103.16 94.77
Positions (direct):
Li: 0.483 0.483 0.000
O: 0.985 0.985 0.000
O: 0.352 0.126 0.226
O: 0.899 0.126 0.774

[5]
Density functional theory data (PBE) for a geometry-optimized Na2LiBiI6 structure.

Computed properties:
As for the space group: Fm-3m.

Lattice parameters (Å, degrees): 8.477 8.477 8.477 60.00 60.00 60.00
Positions (direct):
Na: 0.750 0.750 0.750
Na: 0.250 0.250 0.250
Li: 0.500 0.500 0.500
Bi: 0.000 0.000 0.000
I: 0.745 0.255 0.255
I: 0.255 0.255 0.745
I: 0.255 0.745 0.745
I: 0.255 0.745 0.255
I: 0.745 0.255 0.745
I: 0.745 0.745 0.255

[6]
Density functional theory data (PBE) for a geometry-optimized Co2MoS4 structure.

Computed properties:
As for the space group: I-4.

Lattice parameters (Å, degrees): 6.270 6.270 6.270 132.53 132.53 69.39
Positions (direct):
Co: 0.250 0.750 0.500
Co: 0.000 0.000 0.000
Mo: 0.750 0.250 0.500
S: 0.888 0.376 0.018
S: 0.624 0.642 0.512
S: 0.130 0.112 0.488
S: 0.358 0.870 0.982

Number 1: energy -7.469 eV per atom, ΔH_f (0 K) -2907 meV per atom. Number 2: energy -4.024 eV per atom, ΔH_f (0 K) -703 meV per atom. Number 3: energy -5.260 eV per atom, ΔH_f (0 K) -1560 meV per atom. Number 4: energy -4.813 eV per atom, ΔH_f (0 K) -625 meV per atom. Number 5: energy -2.514 eV per atom, ΔH_f (0 K) -983 meV per atom. Number 6: energy -6.238 eV per atom, ΔH_f (0 K) -581 meV per atom.